1.
Below is crystalline Na3Mn2P2C2O14 at its relaxed geometry, with properties calculated at the PBE with a Hubbard U level. Values from VASP.

Properties
Symmetry   P2_1 (4)
Energy of formation   -2.2409 eV/atom
Spin magnetization   7.00 μB per formula unit

The structure in Quantum ESPRESSO input format:
```
&SYSTEM
  ibrav = 0, nat = 46, ntyp = 5
/
ATOMIC_SPECIES
O 16.00 O.upf
Na 22.99 Na.upf
P 30.97 P.upf
Mn 54.94 Mn.upf
C 12.01 C.upf
CELL_PARAMETERS angstrom
-0.116 0.000 -10.365
0.000 6.573 0.000
8.984 0.000 5.306
ATOMIC_POSITIONS crystal
O 0.473 0.758 0.539
O 0.281 0.065 0.326
O 0.979 0.757 0.537
O 0.318 0.751 0.175
O 0.682 0.251 0.825
O 0.610 0.750 0.936
O 0.527 0.258 0.461
O 0.882 0.246 0.064
O 0.908 0.244 0.861
O 0.596 0.754 0.146
O 0.404 0.254 0.854
O 0.118 0.746 0.936
O 0.726 0.941 0.671
O 0.231 0.565 0.672
O 0.639 0.750 0.426
O 0.390 0.250 0.064
O 0.769 0.065 0.328
O 0.140 0.745 0.423
O 0.274 0.441 0.329
O 0.770 0.440 0.330
O 0.361 0.250 0.574
O 0.230 0.940 0.670
O 0.182 0.243 0.831
O 0.021 0.257 0.463
O 0.818 0.743 0.169
O 0.092 0.744 0.139
O 0.719 0.565 0.674
O 0.860 0.245 0.577
Na 0.001 0.478 0.242
Na 0.503 0.993 0.758
Na 0.999 0.978 0.758
Na 0.504 0.510 0.757
Na 0.497 0.493 0.242
Na 0.496 0.010 0.243
P 0.855 0.251 0.426
P 0.641 0.753 0.576
P 0.359 0.253 0.424
P 0.145 0.751 0.574
Mn 0.787 0.754 0.349
Mn 0.213 0.254 0.651
Mn 0.725 0.258 0.656
Mn 0.275 0.758 0.344
C 0.830 0.246 0.927
C 0.328 0.249 0.925
C 0.170 0.746 0.073
C 0.672 0.749 0.075
```

***

2.
Below is crystalline Mn3NbO8 at its relaxed geometry, with properties calculated at the PBE with a Hubbard U level. Values from VASP.

Properties
Symmetry   P6_3mc (186)
Energy of formation   -2.1194 eV/atom
Spin magnetization   10.00 μB per formula unit

The structure in Quantum ESPRESSO input format:
```
&SYSTEM
  ibrav = 0, nat = 24, ntyp = 3
/
ATOMIC_SPECIES
O 16.00 O.upf
Mn 54.94 Mn.upf
Nb 92.91 Nb.upf
CELL_PARAMETERS angstrom
-2.229 3.401 -4.299
-3.499 -1.918 4.369
2.035 7.621 4.975
ATOMIC_POSITIONS crystal
O 0.479 0.959 0.336
O 0.959 0.479 0.836
O 0.666 0.833 0.597
O 0.833 0.666 0.097
O 0.333 0.667 0.113
O 0.521 0.041 0.836
O 0.000 0.000 0.809
O 0.041 0.521 0.336
O 0.833 0.167 0.097
O 0.521 0.479 0.836
O 0.479 0.521 0.336
O 0.334 0.167 0.097
O 0.167 0.833 0.597
O 0.000 0.000 0.309
O 0.667 0.333 0.613
O 0.167 0.334 0.597
Mn 0.664 0.832 0.214
Mn 0.168 0.336 0.214
Mn 0.832 0.168 0.714
Mn 0.832 0.664 0.714
Mn 0.336 0.168 0.714
Mn 0.168 0.832 0.214
Nb 0.333 0.667 0.498
Nb 0.667 0.333 0.998
```

***

3.
Below is crystalline Sr2LiFeO3F at its relaxed geometry, with properties calculated at the PBE with a Hubbard U level. Values from VASP.

Properties
Symmetry   P1 (1)
Energy of formation   -2.6171 eV/atom
Spin magnetization   4.00 μB per formula unit

The structure in Quantum ESPRESSO input format:
```
&SYSTEM
  ibrav = 0, nat = 8, ntyp = 5
/
ATOMIC_SPECIES
O 16.00 O.upf
Li 6.94 Li.upf
F 19.00 F.upf
Sr 87.62 Sr.upf
Fe 55.84 Fe.upf
CELL_PARAMETERS angstrom
4.052 0.034 0.582
0.061 3.971 -0.563
3.045 1.072 7.358
ATOMIC_POSITIONS crystal
O 0.072 0.103 0.521
O 0.565 0.091 0.023
O 0.122 0.592 0.966
Li 0.590 0.099 0.499
F 0.634 0.603 0.459
Sr 0.848 0.600 0.739
Sr 0.340 0.588 0.252
Fe 0.095 0.092 0.993
```

***

4.
Below is crystalline Ba2Mo2F11 at its relaxed geometry, with properties calculated at the PBE with a Hubbard U level. Values from VASP.

Properties
Symmetry   P3_2 (145)
Energy of formation   -3.2098 eV/atom
Spin magnetization   5.02 μB per formula unit

The structure in Quantum ESPRESSO input format:
```
&SYSTEM
  ibrav = 0, nat = 45, ntyp = 3
/
ATOMIC_SPECIES
F 19.00 F.upf
Ba 137.33 Ba.upf
Mo 95.94 Mo.upf
CELL_PARAMETERS angstrom
4.017 -6.957 0.000
4.017 6.957 0.000
0.000 0.000 14.646
ATOMIC_POSITIONS crystal
F 0.119 0.153 0.511
F 0.279 0.939 0.671
F 0.666 0.470 0.834
F 0.256 0.251 0.164
F 0.018 0.563 0.754
F 0.671 0.500 0.611
F 0.749 0.005 0.830
F 0.498 0.751 0.258
F 0.721 0.040 0.367
F 0.829 0.329 0.944
F 0.847 0.966 0.178
F 0.960 0.681 0.034
F 0.061 0.339 0.338
F 0.253 0.502 0.591
F 0.252 0.575 0.078
F 0.661 0.721 0.005
F 0.500 0.171 0.278
F 0.546 0.982 0.087
F 0.201 0.845 0.188
F 0.644 0.799 0.521
F 0.530 0.197 0.501
F 0.995 0.744 0.497
F 0.155 0.356 0.855
F 0.425 0.678 0.745
F 0.280 0.049 0.007
F 0.249 0.747 0.925
F 0.951 0.231 0.674
F 0.319 0.279 0.700
F 0.034 0.881 0.845
F 0.803 0.334 0.168
F 0.769 0.720 0.340
F 0.322 0.748 0.412
F 0.437 0.454 0.420
Ba 0.140 0.075 0.317
Ba 0.935 0.860 0.650
Ba 0.487 0.076 0.808
Ba 0.589 0.513 0.141
Ba 0.924 0.411 0.474
Ba 0.925 0.065 0.983
Mo 0.664 0.064 0.222
Mo 0.189 0.440 0.729
Mo 0.560 0.749 0.396
Mo 0.936 0.600 0.889
Mo 0.400 0.336 0.555
Mo 0.251 0.811 0.063
```

***

5.
Below is crystalline Li2VF6 at its relaxed geometry, with properties calculated at the PBE with a Hubbard U level. Values from VASP.

Properties
Symmetry   C2/m (12)
Energy of formation   -3.0710 eV/atom
Spin magnetization   1.00 μB per formula unit

The structure in Quantum ESPRESSO input format:
```
&SYSTEM
  ibrav = 0, nat = 9, ntyp = 3
/
ATOMIC_SPECIES
Li 6.94 Li.upf
F 19.00 F.upf
V 50.94 V.upf
CELL_PARAMETERS angstrom
2.693 5.156 0.000
-2.693 5.156 0.000
0.000 1.410 4.530
ATOMIC_POSITIONS crystal
Li 0.651 0.651 0.356
Li 0.349 0.349 0.644
F 0.174 0.690 0.807
F 0.690 0.174 0.807
F 0.834 0.834 0.314
F 0.166 0.166 0.686
F 0.310 0.826 0.193
F 0.826 0.310 0.193
V 0.000 0.000 0.000
```

***

> Which of these has the highest spin magnetization?

Mn3NbO8

***

> Among the records above, which one has the lowest energy of formation?

Ba2Mo2F11